# AlInO3

Crystalline AlInO3 at its relaxed geometry (PBE, the Materials Project).

Output
- ΔE_f: -11.22 eV per formula unit
- DFT total energy: -6.100 eV/atom
- MP2020-corrected energy: -6.51 eV per atom
- Space-group type: Pm-3m

abc: 3.7147 3.7147 3.7147
angles: 90.00 90.00 90.00
Last column: nearest neighbours and their distance in Å.
Positions (direct):
Al  0.0000  0.0000  0.0000  6 O 1.86
In  0.5000  0.5000  0.5000  12 O 2.63
O  0.0000  0.0000  0.5000  2 Al 1.86
O  0.0000  0.5000  0.0000  2 Al 1.86
O  0.5000  0.0000  0.0000  2 Al 1.86